A geometry-optimized Ca3SbI3 structure. Source: Materials Project, functional PBE.

Output
**Maximum piezoelectric response**: 0.00 C/m2
**ΔE_f**: -1.60 eV per atom
**Calculated total energy**: -3.541 eV/atom

a = 12.847 Å, b = 12.847 Å, c = 12.847 Å
α = 90.00°, β = 90.00°, γ = 90.00°
Space group I4_132 (No. 214)
Symmetry-distinct sites (fractional):
Ca 0.116 0.366 0.125 (multiplicity 24)
Sb 0.125 0.125 0.125 (multiplicity 8)
I 0.123 0.127 0.625 (multiplicity 24)